Here is an optimized crystal structure of Na6Sc4Nb4Si7S5O48 from the Materials Project. Energies are from PBE.

Calculated values
The value obtained for the formation energy is -2.8135 eV per atom. For the size of the total moment, the calculation gives 0.00 μB/f.u. The uncorrected energy is -7.3657 eV/atom. As for the corrected total energy (MP2020 scheme): -578.03 eV per formula unit.

Cell: 8.949 15.555 22.966 Å, 89.97 89.92 89.95°
Atoms (fractional coordinates):
Na: 0.000 0.000 0.000
Na: 0.004 0.329 0.335
Na: 0.004 0.666 0.166
Na: 0.014 0.668 0.675
Na: 0.020 0.326 0.830
Na: 0.142 0.498 0.253
Na: 0.366 0.999 0.758
Na: 0.488 0.829 0.328
Na: 0.496 0.168 0.170
Na: 0.505 0.166 0.670
Na: 0.505 0.830 0.837
Na: 0.508 0.496 0.502
Na: 0.517 0.499 0.003
Na: 0.624 0.998 0.251
Na: 0.646 0.330 0.584
Na: 0.864 0.830 0.083
Na: 0.886 0.498 0.753
Na: 0.993 0.000 0.504
Sc: 0.001 0.326 0.186
Sc: 0.007 0.668 0.816
Sc: 0.011 0.330 0.689
Sc: 0.014 0.003 0.147
Sc: 0.024 0.665 0.317
Sc: 0.495 0.166 0.821
Sc: 0.497 0.501 0.650
Sc: 0.499 0.830 0.188
Sc: 0.504 0.167 0.315
Sc: 0.509 0.827 0.689
Sc: 0.524 0.166 0.517
Sc: 0.987 0.664 0.017
Nb: 0.006 0.998 0.649
Nb: 0.009 0.665 0.524
Nb: 0.017 0.993 0.358
Nb: 0.022 0.999 0.860
Nb: 0.486 0.494 0.356
Nb: 0.493 0.492 0.859
Nb: 0.501 0.497 0.146
Nb: 0.516 0.839 0.478
Nb: 0.517 0.164 0.020
Nb: 0.524 0.833 0.982
Nb: 0.988 0.332 0.482
Nb: 0.988 0.333 0.975
Si: 0.145 0.518 0.418
Si: 0.150 0.851 0.752
Si: 0.151 0.145 0.752
Si: 0.154 0.807 0.419
Si: 0.209 0.499 0.750
Si: 0.301 0.999 0.250
Si: 0.356 0.306 0.920
Si: 0.357 0.349 0.249
Si: 0.364 0.645 0.251
Si: 0.367 0.018 0.919
Si: 0.647 0.310 0.417
Si: 0.650 0.686 0.087
Si: 0.652 0.980 0.089
Si: 0.655 0.024 0.415
Si: 0.714 0.330 0.087
Si: 0.793 0.162 0.915
Si: 0.796 0.831 0.587
Si: 0.857 0.479 0.588
Si: 0.857 0.524 0.915
Si: 0.861 0.185 0.587
Si: 0.865 0.809 0.917
S: 0.148 0.477 0.085
S: 0.151 0.188 0.084
S: 0.213 0.165 0.419
S: 0.215 0.830 0.084
S: 0.295 0.330 0.584
S: 0.297 0.665 0.919
S: 0.361 0.977 0.585
S: 0.362 0.687 0.584
S: 0.646 0.353 0.751
S: 0.647 0.642 0.752
S: 0.716 0.665 0.419
S: 0.718 0.998 0.752
S: 0.791 0.499 0.252
S: 0.864 0.142 0.252
S: 0.864 0.853 0.252
O: 0.072 0.237 0.747
O: 0.073 0.759 0.755
O: 0.074 0.763 0.476
O: 0.075 0.556 0.359
O: 0.077 0.903 0.694
O: 0.079 0.092 0.808
O: 0.080 0.102 0.088
O: 0.081 0.905 0.411
O: 0.085 0.231 0.032
O: 0.085 0.420 0.430
O: 0.088 0.564 0.080
O: 0.089 0.437 0.139
O: 0.104 0.583 0.756
O: 0.107 0.413 0.750
O: 0.109 0.079 0.696
O: 0.110 0.088 0.411
O: 0.111 0.583 0.473
O: 0.114 0.242 0.425
O: 0.114 0.907 0.089
O: 0.117 0.916 0.807
O: 0.118 0.753 0.079
O: 0.122 0.422 0.034
O: 0.125 0.239 0.137
O: 0.128 0.752 0.361
O: 0.176 0.352 0.246
O: 0.180 0.324 0.934
O: 0.180 0.644 0.255
O: 0.181 0.989 0.308
O: 0.183 0.009 0.914
O: 0.187 0.010 0.196
O: 0.194 0.981 0.588
O: 0.195 0.678 0.578
O: 0.202 0.343 0.531
O: 0.206 0.319 0.637
O: 0.209 0.678 0.866
O: 0.210 0.649 0.971
O: 0.301 0.148 0.471
O: 0.302 0.178 0.366
O: 0.304 0.819 0.137
O: 0.309 0.843 0.032
O: 0.315 0.178 0.078
O: 0.318 0.483 0.090
O: 0.322 0.510 0.695
O: 0.329 0.490 0.808
O: 0.331 0.512 0.413
O: 0.333 0.144 0.753
O: 0.333 0.820 0.433
O: 0.333 0.851 0.744
O: 0.376 0.254 0.861
O: 0.383 0.738 0.637
O: 0.392 0.253 0.578
O: 0.392 0.414 0.307
O: 0.392 0.921 0.532
O: 0.396 0.407 0.589
O: 0.396 0.742 0.925
O: 0.397 0.082 0.975
O: 0.400 0.578 0.196
O: 0.400 0.587 0.911
O: 0.404 0.913 0.251
O: 0.406 0.083 0.256
O: 0.423 0.062 0.578
O: 0.423 0.936 0.638
O: 0.424 0.730 0.532
O: 0.428 0.601 0.588
O: 0.428 0.920 0.931
O: 0.432 0.403 0.194
O: 0.432 0.405 0.911
O: 0.434 0.592 0.309
O: 0.436 0.053 0.859
O: 0.437 0.258 0.255
O: 0.438 0.264 0.977
O: 0.440 0.737 0.248
O: 0.572 0.590 0.094
O: 0.573 0.073 0.077
O: 0.574 0.732 0.028
O: 0.576 0.728 0.748
O: 0.577 0.056 0.356
O: 0.577 0.276 0.478
O: 0.579 0.268 0.757
O: 0.580 0.938 0.147
O: 0.582 0.923 0.428
O: 0.583 0.599 0.804
O: 0.586 0.411 0.407
O: 0.587 0.394 0.698
O: 0.606 0.247 0.077
O: 0.610 0.417 0.093
O: 0.615 0.409 0.804
O: 0.615 0.742 0.428
O: 0.616 0.914 0.031
O: 0.619 0.921 0.744
O: 0.620 0.588 0.414
O: 0.621 0.590 0.699
O: 0.622 0.075 0.754
O: 0.623 0.251 0.362
O: 0.624 0.749 0.141
O: 0.626 0.075 0.474
O: 0.675 0.483 0.588
O: 0.675 0.508 0.905
O: 0.678 0.821 0.926
O: 0.679 0.178 0.579
O: 0.683 0.842 0.529
O: 0.690 0.815 0.642
O: 0.691 0.150 0.974
O: 0.694 0.184 0.859
O: 0.698 0.486 0.304
O: 0.698 0.509 0.198
O: 0.699 0.849 0.250
O: 0.700 0.149 0.257
O: 0.804 0.681 0.367
O: 0.810 0.653 0.472
O: 0.810 0.985 0.803
O: 0.811 0.350 0.749
O: 0.811 0.649 0.756
O: 0.813 0.008 0.697
O: 0.819 0.317 0.143
O: 0.825 0.344 0.030
O: 0.832 0.678 0.080
O: 0.833 0.321 0.426
O: 0.834 0.982 0.090
O: 0.835 0.007 0.406
O: 0.881 0.576 0.974
O: 0.885 0.749 0.862
O: 0.886 0.250 0.640
O: 0.886 0.576 0.256
O: 0.889 0.089 0.200
O: 0.891 0.422 0.246
O: 0.895 0.414 0.531
O: 0.896 0.909 0.305
O: 0.900 0.078 0.910
O: 0.901 0.746 0.574
O: 0.901 0.917 0.592
O: 0.903 0.246 0.929
O: 0.926 0.892 0.199
O: 0.928 0.099 0.305
O: 0.928 0.425 0.927
O: 0.928 0.766 0.260
O: 0.929 0.907 0.907
O: 0.931 0.441 0.646
O: 0.932 0.557 0.856
O: 0.932 0.573 0.572
O: 0.933 0.774 0.978
O: 0.934 0.228 0.248
O: 0.936 0.233 0.528
O: 0.939 0.089 0.593